This record from the Materials Project describes an optimized crystal structure of KHfMg14. The functional is PBE.

a = 6.5391 Å, b = 6.6369 Å, c = 10.3887 Å
α = 90.00°, β = 90.00°, γ = 120.50°
Last column: nearest neighbours and their distance in Å.
Element x y z (fractional)
1 K 0.1630 0.3315 0.1250  10 Mg 3.26-3.32, 2 Hf 3.32
2 Hf 0.1867 0.8433 0.1250  10 Mg 3.17-3.38, 2 K 3.32
3 Mg 0.1677 0.3338 0.6250  12 Mg 3.17-3.32
4 Mg 0.1654 0.8327 0.6250  12 Mg 3.13-3.32
5 Mg 0.6634 0.3342 0.1250  2 Hf 3.17-3.38, 8 Mg 3.19-3.35, 2 K 3.26-3.28
6 Mg 0.6676 0.3363 0.6250  12 Mg 3.12-3.35
7 Mg 0.6634 0.8292 0.1250  2 Hf 3.17-3.38, 8 Mg 3.19-3.35, 2 K 3.26-3.28
8 Mg 0.6676 0.8314 0.6250  12 Mg 3.12-3.35
9 Mg 0.3341 0.1556 0.3813  10 Mg 3.13-3.47, 1 Hf 3.21, 1 K 3.32
10 Mg 0.3341 0.1556 0.8687  10 Mg 3.13-3.47, 1 Hf 3.21, 1 K 3.32
11 Mg 0.3341 0.6785 0.3813  10 Mg 3.13-3.47, 1 Hf 3.21, 1 K 3.32
12 Mg 0.3341 0.6785 0.8687  10 Mg 3.13-3.47, 1 Hf 3.21, 1 K 3.32
13 Mg 0.8198 0.1599 0.3849  11 Mg 3.12-3.38, 1 K 3.32
14 Mg 0.8198 0.1599 0.8651  11 Mg 3.12-3.38, 1 K 3.32
15 Mg 0.8396 0.6698 0.3702  11 Mg 3.19-3.34, 1 Hf 3.21
16 Mg 0.8396 0.6698 0.8798  11 Mg 3.19-3.34, 1 Hf 3.21

Formation enthalpy at 0 K   0.1700 eV/atom
Magnetization   0.0 μB per formula unit
Electronic total energy   -1.922 eV/atom
Relative energy among the computed polymorphs   2.6 kJ per mole of atoms
Mass density   2.384 g cm⁻³

This record from the Materials Project describes an optimized crystal structure of MgCdTe. The functional is PBE.

a = 5.4579 Å, b = 5.4579 Å, c = 6.6792 Å
α = 68.37°, β = 68.37°, γ = 89.42°
Last column: nearest neighbours and their distance in Å.
Element x y z (fractional)
1 Mg 0.8616 0.2346 0.0028  2 Te 2.82-2.84, 2 Cd 2.95-3.05
2 Mg 0.2346 0.8616 0.5028  2 Te 2.82-2.84, 2 Cd 2.95-3.05
3 Cd 0.6305 0.7457 0.0054  2 Te 2.93-2.96, 2 Mg 2.95-3.05
4 Cd 0.7457 0.6305 0.5054  2 Te 2.93-2.96, 2 Mg 2.95-3.05
5 Te 0.1367 0.3676 0.2418  2 Mg 2.82-2.84, 2 Cd 2.93-2.96
6 Te 0.3676 0.1367 0.7418  2 Mg 2.82-2.84, 2 Cd 2.93-2.96

Formation enthalpy at 0 K   -0.3227 eV/atom
Magnetization   0.0 μB per formula unit
Electronic total energy   -2.071 eV/atom
Mass density   5.161 g cm⁻³

This record from the Materials Project describes an optimized crystal structure of RbFeCl3. The functional is PBE.

a = 4.9890 Å, b = 4.9890 Å, c = 4.9890 Å
α = 90.00°, β = 90.00°, γ = 90.00°
Last column: nearest neighbours and their distance in Å.
Element x y z (fractional)
1 Rb 0.5000 0.5000 0.5000  12 Cl 3.53
2 Fe 0.0000 0.0000 0.0000  6 Cl 2.49
3 Cl 0.5000 0.0000 0.0000  2 Fe 2.49
4 Cl 0.0000 0.5000 0.0000  2 Fe 2.49
5 Cl 0.0000 0.0000 0.5000  2 Fe 2.49

Formation enthalpy at 0 K   -1.5482 eV/atom
Electronic total energy   -4.179 eV/atom
Mass density   3.312 g cm⁻³

This record from the Materials Project describes an optimized crystal structure of Zr3ZnP2S4O24. The functional is PBE.

a = 8.9251 Å, b = 8.9475 Å, c = 22.9966 Å
α = 90.01°, β = 89.93°, γ = 119.98°
Last column: nearest neighbours and their distance in Å.
Element x y z (fractional)
1 Zr 0.0008 0.0002 0.8588  6 O 2.01-2.20
2 Zr 0.9989 0.0051 0.6437  6 O 2.00-2.18
3 Zr 0.0058 0.0062 0.1445  6 O 2.00-2.18
4 Zr 0.6587 0.3313 0.9768  6 O 2.03-2.20
5 Zr 0.6729 0.3261 0.4761  5 O 1.99-2.18
6 Zr 0.3333 0.6609 0.0221  6 O 2.03-2.15
7 Zr 0.3353 0.6664 0.5208  6 O 2.04-2.14
8 Zr 0.3405 0.6745 0.3086  6 O 2.04-2.20
9 Zr 0.3321 0.6666 0.8140  6 O 2.04-2.18
10 Zn 0.9910 0.9994 0.3528  6 O 2.00-2.17
11 Zn 0.6757 0.3359 0.6859  6 O 1.97-2.16
12 Zn 0.6603 0.3352 0.1859  6 O 1.97-2.17
13 P 0.9538 0.3367 0.5853  4 O 1.50-1.57
14 P 0.3831 0.3348 0.0857  4 O 1.50-1.57
15 P 0.6208 0.6660 0.9167  4 O 1.53-1.55
16 P 0.0432 0.3789 0.9170  4 O 1.53-1.55
17 P 0.3341 0.9534 0.9173  4 O 1.53-1.55
18 P 0.6287 0.9529 0.4155  4 O 1.50-1.57
19 S 0.2917 0.0072 0.2514  4 O 1.45-1.52
20 S 0.7159 0.7075 0.2505  4 O 1.45-1.53
21 S 0.9935 0.2879 0.2510  4 O 1.46-1.52
22 S 0.2959 0.2902 0.7494  4 O 1.45-1.51
23 S 0.9952 0.7064 0.7493  4 O 1.45-1.50
24 S 0.7097 0.0046 0.7497  4 O 1.45-1.51
25 S 0.3803 0.0461 0.5847  4 O 1.45-1.50
26 S 0.6661 0.6187 0.5845  4 O 1.45-1.50
27 S 0.9533 0.6198 0.0850  4 O 1.45-1.50
28 S 0.6658 0.0461 0.0849  4 O 1.45-1.50
29 S 0.3292 0.3724 0.4158  4 O 1.45-1.51
30 S 0.0454 0.6731 0.4157  4 O 1.44-1.50
31 O 0.2088 0.0284 0.3031  1 S 1.46
32 O 0.8187 0.7887 0.3026  1 S 1.46
33 O 0.9707 0.1824 0.3024  1 S 1.46
34 O 0.2090 0.1807 0.8012  1 S 1.49
35 O 0.9728 0.7928 0.8014  1 S 1.49
36 O 0.8198 0.0278 0.8013  1 S 1.49
37 O 0.7930 0.9721 0.6977  1 S 1.51
38 O 0.1796 0.2065 0.6975  1 S 1.51
39 O 0.0274 0.8210 0.6975  1 S 1.50
40 O 0.7915 0.8210 0.1980  1 S 1.50
41 O 0.0293 0.2085 0.1981  1 S 1.52
42 O 0.1783 0.9702 0.1984  1 S 1.51
43 O 0.8734 0.3657 0.6385  1 P 1.50
44 O 0.4845 0.1212 0.6364  1 S 1.45
45 O 0.6346 0.5143 0.6364  1 S 1.45
46 O 0.8791 0.5144 0.1365  1 S 1.45
47 O 0.6375 0.1220 0.1366  1 S 1.45
48 O 0.4923 0.3651 0.1388  1 P 1.50
49 O 0.4618 0.3031 0.0298  1 P 1.56
50 O 0.8480 0.5437 0.0316  1 S 1.49
51 O 0.6977 0.1526 0.0316  1 S 1.49
52 O 0.4558 0.1535 0.5315  1 S 1.49
53 O 0.6951 0.5426 0.5313  1 S 1.48
54 O 0.8406 0.3040 0.5297  1 P 1.56
55 O 0.5392 0.6985 0.9705  1 P 1.53
56 O 0.1589 0.4616 0.9704  1 P 1.54
57 O 0.3027 0.8405 0.9709  1 P 1.53
58 O 0.5340 0.8413 0.4701  1 P 1.56
59 O 0.3052 0.4582 0.4687  1 S 1.51
60 O 0.1521 0.6934 0.4687  1 S 1.50
61 O 0.1238 0.6356 0.3646  1 S 1.49
62 O 0.5042 0.8670 0.3630  1 P 1.56
63 O 0.3622 0.4875 0.3647  1 S 1.49
64 O 0.1286 0.4914 0.8624  1 P 1.55
65 O 0.3628 0.8707 0.8622  1 P 1.55
66 O 0.5080 0.6369 0.8622  1 P 1.55
67 O 0.0263 0.8231 0.4084  1 S 1.44
68 O 0.8063 0.9762 0.4075  1 P 1.50
69 O 0.1790 0.2028 0.4085  1 S 1.45
70 O 0.0253 0.2003 0.9065  1 P 1.54
71 O 0.1754 0.9753 0.9066  1 P 1.54
72 O 0.8004 0.8256 0.9066  1 P 1.54
73 O 0.9759 0.1748 0.5932  1 P 1.57
74 O 0.2034 0.0237 0.5920  1 S 1.50
75 O 0.8208 0.7952 0.5921  1 S 1.50
76 O 0.9740 0.7958 0.0923  1 S 1.50
77 O 0.8206 0.0235 0.0922  1 S 1.50
78 O 0.1979 0.1738 0.0933  1 P 1.57
79 O 0.6905 0.1548 0.7415  1 S 1.45
80 O 0.4652 0.3081 0.7403  1 S 1.45
81 O 0.8435 0.5370 0.7418  1 S 1.45
82 O 0.6907 0.5356 0.2415  1 S 1.45
83 O 0.8452 0.3105 0.2403  1 S 1.46
84 O 0.4643 0.1525 0.2416  1 S 1.45
85 O 0.6435 0.5086 0.9253  1 P 1.53
86 O 0.8642 0.3577 0.9265  1 P 1.53
87 O 0.4934 0.1334 0.9250  1 P 1.54
88 O 0.6379 0.1305 0.4259  1 P 1.57
89 O 0.4886 0.3613 0.4262  1 S 1.50
90 O 0.8720 0.5146 0.4253  1 S 1.50
91 O 0.3558 0.4903 0.0741  1 P 1.55
92 O 0.1294 0.6446 0.0751  1 S 1.49
93 O 0.5137 0.8717 0.0751  1 S 1.49
94 O 0.3566 0.8709 0.5746  1 S 1.49
95 O 0.5140 0.6433 0.5749  1 S 1.50
96 O 0.1359 0.4915 0.5724  1 P 1.55
97 O 0.3047 0.8446 0.2583  1 S 1.52
98 O 0.5385 0.6917 0.2585  1 S 1.53
99 O 0.1547 0.4622 0.2591  1 S 1.52
100 O 0.3073 0.4608 0.7572  1 S 1.49
101 O 0.1542 0.6931 0.7573  1 S 1.49
102 O 0.5387 0.8453 0.7573  1 S 1.49

Formation enthalpy at 0 K   -2.5857 eV/atom
Magnetization   0.0 μB per formula unit
Electronic total energy   -7.190 eV/atom
Mass density   2.860 g cm⁻³

This record from the Materials Project describes an optimized crystal structure of Ho6Al7Cu16. The functional is PBE.

a = 8.7052 Å, b = 8.7052 Å, c = 8.7052 Å
α = 60.00°, β = 60.00°, γ = 60.00°
Last column: nearest neighbours and their distance in Å.
Element x y z (fractional)
1 Ho 0.7095 0.2905 0.2905  8 Cu 2.96-3.04, 4 Al 3.12
2 Ho 0.7095 0.2905 0.7095  8 Cu 2.96-3.04, 4 Al 3.12
3 Ho 0.7095 0.7095 0.2905  8 Cu 2.96-3.04, 4 Al 3.12
4 Ho 0.2905 0.7095 0.7095  8 Cu 2.96-3.04, 4 Al 3.12
5 Ho 0.2905 0.7095 0.2905  8 Cu 2.96-3.04, 4 Al 3.12
6 Ho 0.2905 0.2905 0.7095  8 Cu 2.96-3.04, 4 Al 3.12
7 Al 0.0000 0.0000 0.0000  8 Cu 2.57
8 Al 0.5000 0.0000 0.0000  8 Cu 2.52-2.70
9 Al 0.5000 0.0000 0.5000  8 Cu 2.52-2.70
10 Al 0.5000 0.5000 0.0000  8 Cu 2.52-2.70
11 Al 0.0000 0.5000 0.5000  8 Cu 2.52-2.70
12 Al 0.0000 0.5000 0.0000  8 Cu 2.52-2.70
13 Al 0.0000 0.0000 0.5000  8 Cu 2.52-2.70
14 Cu 0.6382 0.1206 0.1206  4 Al 2.57-2.70, 3 Cu 2.70
15 Cu 0.1206 0.6382 0.1206  4 Al 2.57-2.70, 3 Cu 2.70
16 Cu 0.1206 0.1206 0.6382  4 Al 2.57-2.70, 3 Cu 2.70
17 Cu 0.1206 0.1206 0.1206  4 Al 2.57-2.70, 3 Cu 2.70
18 Cu 0.3618 0.8794 0.8794  4 Al 2.57-2.70, 3 Cu 2.70
19 Cu 0.8794 0.3618 0.8794  4 Al 2.57-2.70, 3 Cu 2.70
20 Cu 0.8794 0.8794 0.3618  4 Al 2.57-2.70, 3 Cu 2.70
21 Cu 0.8794 0.8794 0.8794  4 Al 2.57-2.70, 3 Cu 2.70
22 Cu 0.0184 0.3272 0.3272  3 Al 2.52, 6 Cu 2.69-2.70
23 Cu 0.3272 0.0184 0.3272  3 Al 2.52, 6 Cu 2.69-2.70
24 Cu 0.3272 0.3272 0.0184  3 Al 2.52, 6 Cu 2.69-2.70
25 Cu 0.3272 0.3272 0.3272  3 Al 2.52, 6 Cu 2.69-2.70
26 Cu 0.9816 0.6728 0.6728  3 Al 2.52, 6 Cu 2.69-2.70
27 Cu 0.6728 0.9816 0.6728  3 Al 2.52, 6 Cu 2.69-2.70
28 Cu 0.6728 0.6728 0.9816  3 Al 2.52, 6 Cu 2.69-2.70
29 Cu 0.6728 0.6728 0.6728  3 Al 2.52, 6 Cu 2.69-2.70

Formation enthalpy at 0 K   -0.3738 eV/atom
Magnetization   0.0 μB per formula unit
Electronic total energy   -4.488 eV/atom
Mass density   7.815 g cm⁻³

This record from the Materials Project describes an optimized crystal structure of LaPr3Al4O12. The functional is PBE.

a = 9.2679 Å, b = 9.2679 Å, c = 9.2679 Å
α = 33.75°, β = 33.75°, γ = 33.75°
Last column: nearest neighbours and their distance in Å.
Element x y z (fractional)
1 La 0.5000 0.5000 0.5000  9 O 2.49-2.70
2 Pr 0.7498 0.7498 0.7498  9 O 2.48-2.69
3 Pr 0.2502 0.2502 0.2502  9 O 2.48-2.69
4 Pr 0.0000 0.0000 0.0000  9 O 2.48-2.68
5 Al 0.8751 0.8751 0.8751  6 O 1.91
6 Al 0.3749 0.3749 0.3749  6 O 1.91
7 Al 0.6251 0.6251 0.6251  6 O 1.91
8 Al 0.1249 0.1249 0.1249  6 O 1.91
9 O 0.2494 0.7906 0.7109  2 Al 1.91
10 O 0.7506 0.2891 0.2094  2 Al 1.91
11 O 0.7109 0.2494 0.7906  2 Al 1.91
12 O 0.2094 0.7506 0.2891  2 Al 1.91
13 O 0.7906 0.7109 0.2494  2 Al 1.91
14 O 0.2891 0.2094 0.7506  2 Al 1.91
15 O 0.0369 0.5000 0.9631  2 Al 1.91
16 O 0.5399 0.0000 0.4601  2 Al 1.91
17 O 0.9631 0.0369 0.5000  2 Al 1.91
18 O 0.4601 0.5399 0.0000  2 Al 1.91
19 O 0.5000 0.9631 0.0369  2 Al 1.91
20 O 0.0000 0.4601 0.5399  2 Al 1.91

Formation enthalpy at 0 K   -3.6730 eV/atom
Magnetization   0.0 μB per formula unit
Electronic total energy   -7.943 eV/atom
Relative energy among the computed polymorphs   0.0 kJ per mole of atoms
Mass density   6.533 g cm⁻³

This record from the Materials Project describes an optimized crystal structure of NaCaNbP2SO12. The functional is PBE.

a = 9.0348 Å, b = 9.0348 Å, c = 23.1125 Å
α = 90.75°, β = 89.25°, γ = 120.20°
Last column: nearest neighbours and their distance in Å.
Element x y z (fractional)
1 Na 0.9891 0.9851 0.4937  6 O 2.54-2.78
2 Na 0.0149 0.0109 0.9937  6 O 2.54-2.78
3 Na 0.6558 0.3184 0.8271  6 O 2.54-2.78
4 Na 0.6816 0.3442 0.3271  6 O 2.54-2.78
5 Na 0.3224 0.6518 0.1604  6 O 2.54-2.78
6 Na 0.3482 0.6776 0.6604  6 O 2.54-2.78
7 Ca 0.9958 0.9969 0.3542  6 O 2.13-2.28
8 Ca 0.0031 0.0042 0.8542  6 O 2.13-2.28
9 Ca 0.6625 0.3302 0.6875  6 O 2.13-2.28
10 Ca 0.6698 0.3375 0.1875  6 O 2.13-2.28
11 Ca 0.3291 0.6636 0.0209  6 O 2.13-2.28
12 Ca 0.3364 0.6709 0.5209  6 O 2.13-2.28
13 Nb 0.9992 0.0063 0.6468  6 O 1.99-2.19
14 Nb 0.9937 0.0008 0.1468  6 O 1.99-2.19
15 Nb 0.6659 0.3396 0.9801  6 O 1.99-2.19
16 Nb 0.6604 0.3342 0.4801  6 O 1.99-2.19
17 Nb 0.3325 0.6730 0.3135  6 O 1.99-2.19
18 Nb 0.3270 0.6675 0.8135  6 O 1.99-2.19
19 P 0.7002 0.7114 0.2517  4 O 1.48-1.64
20 P 0.0096 0.2979 0.2525  4 O 1.48-1.64
21 P 0.2886 0.2998 0.7517  4 O 1.48-1.64
22 P 0.7021 0.9904 0.7525  4 O 1.48-1.64
23 P 0.3669 0.0447 0.5850  4 O 1.48-1.64
24 P 0.6763 0.6312 0.5858  4 O 1.48-1.64
25 P 0.9553 0.6331 0.0850  4 O 1.48-1.64
26 P 0.3688 0.3237 0.0858  4 O 1.48-1.64
27 P 0.0335 0.3780 0.9184  4 O 1.48-1.64
28 P 0.3430 0.9645 0.9191  4 O 1.48-1.64
29 P 0.6220 0.9665 0.4184  4 O 1.48-1.64
30 P 0.0355 0.6570 0.4191  4 O 1.48-1.64
31 S 0.2856 0.9889 0.2500  4 O 1.43-1.54
32 S 0.0111 0.7144 0.7500  4 O 1.43-1.54
33 S 0.9523 0.3222 0.5833  4 O 1.43-1.54
34 S 0.6778 0.0477 0.0833  4 O 1.43-1.54
35 S 0.6190 0.6556 0.9166  4 O 1.43-1.54
36 S 0.3444 0.3810 0.4166  4 O 1.43-1.54
37 O 0.2130 0.0123 0.3023  1 S 1.43
38 O 0.8057 0.7921 0.3039  1 P 1.48
39 O 0.9938 0.1971 0.3047  1 P 1.48
40 O 0.2079 0.1943 0.8039  1 P 1.48
41 O 0.9877 0.7870 0.8023  1 S 1.43
42 O 0.8029 0.0062 0.8047  1 P 1.48
43 O 0.8001 0.9677 0.6958  1 P 1.64
44 O 0.1671 0.2000 0.6959  1 P 1.64
45 O 0.0357 0.8235 0.6974  1 S 1.52
46 O 0.8000 0.8329 0.1959  1 P 1.64
47 O 0.0323 0.1999 0.1958  1 P 1.64
48 O 0.1765 0.9643 0.1974  1 S 1.52
49 O 0.8796 0.3456 0.6357  1 S 1.43
50 O 0.4723 0.1254 0.6373  1 P 1.48
51 O 0.6605 0.5304 0.6381  1 P 1.48
52 O 0.8746 0.5277 0.1373  1 P 1.48
53 O 0.6544 0.1204 0.1357  1 S 1.43
54 O 0.4696 0.3395 0.1381  1 P 1.48
55 O 0.4668 0.3010 0.0291  1 P 1.64
56 O 0.8338 0.5333 0.0293  1 P 1.64
57 O 0.7023 0.1568 0.0308  1 S 1.52
58 O 0.4667 0.1662 0.5293  1 P 1.64
59 O 0.6990 0.5332 0.5291  1 P 1.64
60 O 0.8432 0.2977 0.5308  1 S 1.52
61 O 0.5463 0.6789 0.9690  1 S 1.43
62 O 0.1390 0.4587 0.9706  1 P 1.48
63 O 0.3272 0.8637 0.9714  1 P 1.48
64 O 0.5413 0.8610 0.4706  1 P 1.48
65 O 0.3211 0.4537 0.4690  1 S 1.43
66 O 0.1363 0.6728 0.4714  1 P 1.48
67 O 0.1335 0.6344 0.3624  1 P 1.64
68 O 0.5004 0.8666 0.3626  1 P 1.64
69 O 0.3690 0.4901 0.3641  1 S 1.52
70 O 0.1334 0.4996 0.8626  1 P 1.64
71 O 0.3656 0.8665 0.8624  1 P 1.64
72 O 0.5099 0.6310 0.8641  1 S 1.52
73 O 0.0050 0.8045 0.4114  1 P 1.50
74 O 0.8038 0.0070 0.4108  1 P 1.50
75 O 0.2055 0.2053 0.4096  1 S 1.45
76 O 0.9930 0.1962 0.9108  1 P 1.50
77 O 0.1955 0.9950 0.9114  1 P 1.50
78 O 0.7947 0.7945 0.9096  1 S 1.45
79 O 0.9586 0.1550 0.5873  1 S 1.54
80 O 0.1891 0.0433 0.5909  1 P 1.60
81 O 0.8503 0.8131 0.5911  1 P 1.61
82 O 0.9567 0.8109 0.0909  1 P 1.60
83 O 0.8450 0.0414 0.0873  1 S 1.54
84 O 0.1869 0.1497 0.0911  1 P 1.61
85 O 0.6717 0.1378 0.7448  1 P 1.50
86 O 0.4705 0.3403 0.7441  1 P 1.50
87 O 0.8721 0.5386 0.7429  1 S 1.45
88 O 0.6597 0.5295 0.2441  1 P 1.50
89 O 0.8622 0.3283 0.2448  1 P 1.50
90 O 0.4614 0.1279 0.2429  1 S 1.45
91 O 0.6252 0.4883 0.9206  1 S 1.54
92 O 0.8558 0.3767 0.9243  1 P 1.60
93 O 0.5170 0.1465 0.9244  1 P 1.61
94 O 0.6233 0.1442 0.4243  1 P 1.60
95 O 0.5117 0.3748 0.4206  1 S 1.54
96 O 0.8535 0.4830 0.4244  1 P 1.61
97 O 0.3384 0.4712 0.0781  1 P 1.50
98 O 0.1372 0.6736 0.0774  1 P 1.50
99 O 0.5388 0.8720 0.0762  1 S 1.45
100 O 0.3264 0.8628 0.5774  1 P 1.50
101 O 0.5288 0.6616 0.5781  1 P 1.50
102 O 0.1280 0.4612 0.5762  1 S 1.45
103 O 0.2919 0.8216 0.2539  1 S 1.54
104 O 0.5224 0.7100 0.2576  1 P 1.60
105 O 0.1837 0.4798 0.2577  1 P 1.61
106 O 0.2900 0.4776 0.7576  1 P 1.60
107 O 0.1784 0.7081 0.7539  1 S 1.54
108 O 0.5202 0.8163 0.7577  1 P 1.61

Formation enthalpy at 0 K   -2.6639 eV/atom
Magnetization   0.0 μB per formula unit
Electronic total energy   -7.082 eV/atom
Mass density   2.701 g cm⁻³

This record from the Materials Project describes an optimized crystal structure of SmCoGe3. The functional is PBE.

a = 4.2896 Å, b = 4.2896 Å, c = 5.8042 Å
α = 111.69°, β = 111.69°, γ = 90.00°
Last column: nearest neighbours and their distance in Å.
Element x y z (fractional)
1 Sm 0.5663 0.5663 0.1326  12 Ge 3.09-3.35, 5 Co 3.29-3.46
2 Co 0.2342 0.2342 0.4684  5 Ge 2.27-2.33
3 Ge 0.3263 0.8263 0.6526  2 Co 2.33
4 Ge 0.8263 0.3263 0.6526  2 Co 2.33
5 Ge 0.0048 0.0048 0.0095  1 Co 2.27

Formation enthalpy at 0 K   -0.5556 eV/atom
Electronic total energy   -5.695 eV/atom
Mass density   7.791 g cm⁻³